A relaxed structure of SiO2. Source: the Materials Project, functional GGA-PBE.

```
SiO2
1.0
12.665 0.000 0.000
0.000 5.858 11.067
0.000 -5.858 11.067
Si O
28 56
Direct
0.000 0.014 0.277
0.000 0.132 0.868
0.000 0.277 0.014
0.000 0.868 0.132
0.123 0.458 0.458
0.123 0.604 0.604
0.123 0.670 0.934
0.123 0.934 0.670
0.185 0.177 0.674
0.185 0.674 0.177
0.199 0.462 0.893
0.199 0.893 0.462
0.375 0.254 0.991
0.375 0.991 0.254
0.379 0.116 0.849
0.379 0.849 0.116
0.621 0.116 0.849
0.621 0.849 0.116
0.625 0.254 0.991
0.625 0.991 0.254
0.801 0.462 0.893
0.801 0.893 0.462
0.815 0.177 0.674
0.815 0.674 0.177
0.877 0.458 0.458
0.877 0.604 0.604
0.877 0.670 0.934
0.877 0.934 0.670
0.000 0.168 0.168
0.000 0.212 0.933
0.000 0.436 0.436
0.000 0.626 0.626
0.000 0.632 0.929
0.000 0.929 0.632
0.000 0.933 0.212
0.000 0.978 0.978
0.105 0.171 0.780
0.105 0.364 0.981
0.105 0.780 0.171
0.105 0.981 0.364
0.129 0.531 0.531
0.143 0.823 0.823
0.148 0.074 0.642
0.148 0.642 0.074
0.183 0.320 0.542
0.183 0.515 0.742
0.183 0.542 0.320
0.183 0.742 0.515
0.200 0.583 0.908
0.200 0.908 0.583
0.304 0.146 0.730
0.304 0.730 0.146
0.311 0.385 0.944
0.311 0.944 0.385
0.339 0.201 0.904
0.339 0.904 0.201
0.351 0.144 0.144
0.371 0.963 0.963
0.500 0.154 0.797
0.500 0.289 0.970
0.500 0.797 0.154
0.500 0.970 0.289
0.629 0.963 0.963
0.649 0.144 0.144
0.661 0.201 0.904
0.661 0.904 0.201
0.689 0.385 0.944
0.689 0.944 0.385
0.696 0.146 0.730
0.696 0.730 0.146
0.800 0.583 0.908
0.800 0.908 0.583
0.817 0.320 0.542
0.817 0.515 0.742
0.817 0.542 0.320
0.817 0.742 0.515
0.852 0.074 0.642
0.852 0.642 0.074
0.857 0.823 0.823
0.871 0.531 0.531
0.895 0.171 0.780
0.895 0.364 0.981
0.895 0.780 0.171
0.895 0.981 0.364
```

volume: 19.55 A^3/atom
total energy: -23.7 eV/f.u.
DFT formation energy: -314.0 kJ per mole of atoms

***

A relaxed structure of SiSnPd5. Source: the Materials Project, functional GGA-PBE.

```
SiSnPd5
1.0
4.020 0.000 0.000
0.000 4.020 0.000
0.000 0.000 6.998
Si Sn Pd
1 1 5
Direct
0.000 0.000 0.000
0.500 0.500 0.500
0.000 0.000 0.500
0.000 0.500 0.204
0.000 0.500 0.796
0.500 0.000 0.204
0.500 0.000 0.796
```

volume: 16.16 A^3/atom
total energy: -39.6 eV/f.u.
DFT formation energy: -59.4 kJ per mole of atoms

***

A relaxed structure of Y3Si12Ru4. Source: the Materials Project, functional GGA-PBE.

```
Y3Si12Ru4
1.0
9.273 -4.072 0.000
9.273 4.072 0.000
0.000 0.000 8.145
Y Si Ru
6 24 8
Direct
0.000 0.000 0.000
0.004 0.496 0.250
0.496 0.004 0.750
0.500 0.500 0.500
0.504 0.996 0.250
0.996 0.504 0.750
0.111 0.123 0.729
0.112 0.654 0.493
0.123 0.111 0.271
0.154 0.612 0.993
0.167 0.833 0.667
0.205 0.205 0.500
0.295 0.295 0.000
0.333 0.667 0.167
0.346 0.888 0.493
0.377 0.389 0.771
0.388 0.846 0.993
0.389 0.377 0.229
0.611 0.623 0.771
0.612 0.154 0.007
0.623 0.611 0.229
0.654 0.112 0.507
0.667 0.333 0.833
0.705 0.705 0.000
0.795 0.795 0.500
0.833 0.167 0.333
0.846 0.388 0.007
0.877 0.889 0.729
0.888 0.346 0.507
0.889 0.877 0.271
0.127 0.873 0.373
0.169 0.169 0.000
0.331 0.331 0.500
0.373 0.627 0.873
0.627 0.373 0.127
0.669 0.669 0.500
0.831 0.831 0.000
0.873 0.127 0.627
```

volume: 16.19 A^3/atom
total energy: -133.9 eV/f.u.
total magnetization: 0.0 μB per formula unit
DFT formation energy: -62.2 kJ per mole of atoms

***

A relaxed structure of Cs3As. Source: the Materials Project, functional GGA-PBE.

```
Cs3As
1.0
9.392 0.000 0.000
-4.696 8.133 0.000
0.000 0.000 5.645
Cs As
6 2
Direct
0.192 0.385 0.250
0.192 0.808 0.250
0.385 0.192 0.750
0.615 0.808 0.250
0.808 0.192 0.750
0.808 0.615 0.750
0.333 0.667 0.750
0.667 0.333 0.250
```

volume: 53.90 A^3/atom
total energy: -8.0 eV/f.u.
DFT formation energy: -16.2 kJ per mole of atoms

***

A relaxed structure of CoSiNi. Source: the Materials Project, functional GGA-PBE.

```
CoSiNi
1.0
4.999 0.000 0.000
0.000 3.696 0.000
0.000 0.000 7.061
Co Si Ni
4 4 4
Direct
0.038 0.250 0.210
0.462 0.750 0.710
0.538 0.250 0.290
0.962 0.750 0.790
0.208 0.250 0.891
0.292 0.750 0.391
0.708 0.250 0.609
0.792 0.750 0.109
0.171 0.250 0.565
0.329 0.750 0.065
0.671 0.250 0.935
0.829 0.750 0.435
```

volume: 10.87 A^3/atom
total energy: -19.8 eV/f.u.
total magnetization: 0.3 μB per formula unit
DFT formation energy: -47.6 kJ per mole of atoms

***

A relaxed structure of NiI. Source: the Materials Project, functional GGA-PBE.

```
NiI
1.0
4.056 0.000 0.000
-2.028 3.512 0.000
0.000 0.000 6.872
Ni I
2 2
Direct
0.333 0.667 0.000
0.667 0.333 0.500
0.333 0.667 0.635
0.667 0.333 0.135
```

volume: 24.47 A^3/atom
total energy: -7.0 eV/f.u.
total magnetization: 0.4 μB per formula unit
DFT formation energy: -5.1 kJ per mole of atoms

***

A relaxed structure of CsCuCl3. Source: the Materials Project, functional GGA-PBE.

```
CsCuCl3
1.0
7.380 0.000 0.000
-3.690 6.391 0.000
0.000 0.000 18.491
Cs Cu Cl
6 6 18
Direct
0.292 0.646 0.083
0.354 0.646 0.417
0.354 0.708 0.750
0.646 0.292 0.250
0.646 0.354 0.917
0.708 0.354 0.583
0.000 0.067 0.833
0.000 0.933 0.333
0.067 0.000 0.500
0.067 0.067 0.667
0.933 0.000 0.000
0.933 0.933 0.167
0.104 0.208 0.250
0.104 0.896 0.917
0.148 0.359 0.906
0.148 0.789 0.261
0.208 0.104 0.083
0.211 0.359 0.594
0.211 0.852 0.573
0.359 0.148 0.427
0.359 0.211 0.739
0.641 0.789 0.239
0.641 0.852 0.927
0.789 0.148 0.073
0.789 0.641 0.094
0.792 0.896 0.583
0.852 0.211 0.761
0.852 0.641 0.406
0.896 0.104 0.417
0.896 0.792 0.750
```

volume: 29.07 A^3/atom
total energy: -16.1 eV/f.u.
DFT formation energy: -143.7 kJ per mole of atoms
largest piezoelectric modulus: 0.005 C/m²

***

A relaxed structure of Ca3SiBr2. Source: the Materials Project, functional GGA-PBE.

```
Ca3SiBr2
1.0
-2.199 2.960 6.846
2.199 -2.960 6.846
2.199 2.960 -6.846
Ca Si Br
3 1 2
Direct
0.000 0.000 0.000
0.364 0.364 0.000
0.636 0.636 0.000
0.500 0.000 0.500
0.177 0.677 0.500
0.823 0.323 0.500
```

volume: 29.71 A^3/atom
total energy: -22.1 eV/f.u.
total magnetization: 0.0 μB per formula unit
DFT formation energy: -135.6 kJ per mole of atoms
distance to the lowest polymorph of the same formula: 0.0 kJ per mole of atoms

***

A relaxed structure of MnCoSi2. Source: the Materials Project, functional GGA-PBE.

```
MnCoSi2
1.0
4.494 0.000 0.000
0.000 4.437 0.000
-0.048 0.000 4.505
Mn Co Si
2 2 4
Direct
0.107 0.000 0.371
0.893 0.500 0.629
0.390 0.226 0.864
0.610 0.726 0.136
0.088 0.520 0.149
0.412 0.703 0.657
0.588 0.203 0.343
0.912 0.020 0.851
```

volume: 11.23 A^3/atom
total energy: -29.2 eV/f.u.
total magnetization: 0.0 μB per formula unit
DFT formation energy: -45.6 kJ per mole of atoms

***

A relaxed structure of Ba2YZrO6. Source: the Materials Project, functional GGA-PBE.

```
Ba2YZrO6
1.0
0.000 4.360 4.360
4.360 0.000 4.360
4.360 4.360 0.000
Ba Y Zr O
2 1 1 6
Direct
0.250 0.250 0.250
0.750 0.750 0.750
0.000 0.000 0.000
0.500 0.500 0.500
0.258 0.258 0.742
0.258 0.742 0.258
0.258 0.742 0.742
0.742 0.258 0.258
0.742 0.258 0.742
0.742 0.742 0.258
```

volume: 16.57 A^3/atom
total energy: -78.2 eV/f.u.
total magnetization: 1.0 μB per formula unit
DFT formation energy: -326.2 kJ per mole of atoms

***

A relaxed structure of Tm2MgTl. Source: the Materials Project, functional GGA-PBE.

```
Tm2MgTl
1.0
0.000 3.735 3.735
3.735 0.000 3.735
3.735 3.735 0.000
Tm Mg Tl
2 1 1
Direct
0.250 0.250 0.250
0.750 0.750 0.750
0.000 0.000 0.000
0.500 0.500 0.500
```

volume: 26.05 A^3/atom
total energy: -13.7 eV/f.u.
total magnetization: 0.0 μB per formula unit
DFT formation energy: -18.6 kJ per mole of atoms

***

A relaxed structure of La3GaBr3. Source: the Materials Project, functional GGA-PBE.

```
La3GaBr3
1.0
6.145 0.000 0.000
0.000 6.145 0.000
0.000 0.000 6.145
La Ga Br
3 1 3
Direct
0.000 0.000 0.500
0.000 0.500 0.000
0.500 0.000 0.000
0.000 0.000 0.000
0.000 0.500 0.500
0.500 0.000 0.500
0.500 0.500 0.000
```

volume: 33.15 A^3/atom
total energy: -32.7 eV/f.u.
DFT formation energy: -158.8 kJ per mole of atoms

***

A relaxed structure of Ba3BiSb. Source: the Materials Project, functional GGA-PBE.

```
Ba3BiSb
1.0
6.538 0.000 0.000
0.000 6.538 0.000
0.000 0.000 6.538
Ba Bi Sb
3 1 1
Direct
0.000 0.000 0.500
0.000 0.500 0.000
0.500 0.000 0.000
0.500 0.500 0.500
0.000 0.000 0.000
```

volume: 55.88 A^3/atom
total energy: -16.9 eV/f.u.
total magnetization: 0.0 μB per formula unit
DFT formation energy: -64.1 kJ per mole of atoms
distance to the lowest polymorph of the same formula: 0.0 kJ per mole of atoms

***

A relaxed structure of ReSbH4O7. Source: the Materials Project, functional GGA-PBE.

```
ReSbH4O7
1.0
5.777 0.000 0.000
0.000 18.517 0.000
0.000 0.000 11.963
Re Sb H O
8 8 32 56
Direct
0.006 0.080 0.126
0.006 0.420 0.626
0.494 0.580 0.126
0.494 0.920 0.626
0.506 0.080 0.374
0.506 0.420 0.874
0.994 0.580 0.374
0.994 0.920 0.874
0.025 0.589 0.842
0.025 0.911 0.342
0.475 0.089 0.842
0.475 0.411 0.342
0.525 0.589 0.658
0.525 0.911 0.158
0.975 0.089 0.658
0.975 0.411 0.158
0.009 0.213 0.511
0.009 0.287 0.011
0.026 0.713 0.179
0.026 0.787 0.679
0.070 0.208 0.846
0.070 0.292 0.346
0.202 0.218 0.609
0.202 0.282 0.109
0.298 0.718 0.609
0.298 0.782 0.109
0.430 0.708 0.846
0.430 0.792 0.346
0.474 0.213 0.179
0.474 0.287 0.679
0.491 0.713 0.511
0.491 0.787 0.011
0.509 0.213 0.989
0.509 0.287 0.489
0.526 0.713 0.321
0.526 0.787 0.821
0.570 0.208 0.654
0.570 0.292 0.154
0.702 0.218 0.891
0.702 0.282 0.391
0.798 0.718 0.891
0.798 0.782 0.391
0.930 0.708 0.654
0.930 0.792 0.154
0.974 0.213 0.321
0.974 0.287 0.821
0.991 0.713 0.989
0.991 0.787 0.489
0.026 0.748 0.623
0.026 0.752 0.123
0.041 0.200 0.591
0.041 0.300 0.091
0.114 0.646 0.287
0.114 0.854 0.787
0.126 0.008 0.206
0.126 0.492 0.706
0.181 0.129 0.779
0.181 0.371 0.279
0.214 0.546 0.459
0.214 0.954 0.959
0.217 0.119 0.041
0.217 0.381 0.541
0.283 0.619 0.041
0.283 0.881 0.541
0.286 0.046 0.459
0.286 0.454 0.959
0.319 0.629 0.779
0.319 0.871 0.279
0.374 0.508 0.206
0.374 0.992 0.706
0.386 0.146 0.287
0.386 0.354 0.787
0.459 0.700 0.591
0.459 0.800 0.091
0.474 0.248 0.623
0.474 0.252 0.123
0.526 0.748 0.877
0.526 0.752 0.377
0.541 0.200 0.909
0.541 0.300 0.409
0.614 0.646 0.213
0.614 0.854 0.713
0.626 0.008 0.294
0.626 0.492 0.794
0.681 0.129 0.721
0.681 0.371 0.221
0.714 0.546 0.041
0.714 0.954 0.541
0.717 0.119 0.459
0.717 0.381 0.959
0.783 0.619 0.459
0.783 0.881 0.959
0.786 0.046 0.041
0.786 0.454 0.541
0.819 0.629 0.721
0.819 0.871 0.221
0.874 0.508 0.294
0.874 0.992 0.794
0.886 0.146 0.213
0.886 0.354 0.713
0.959 0.700 0.909
0.959 0.800 0.409
0.974 0.248 0.877
0.974 0.252 0.377
```

volume: 12.30 A^3/atom
total energy: -81.7 eV/f.u.
total magnetization: 0.0 μB per formula unit
DFT formation energy: -161.2 kJ per mole of atoms